Record 1
The following is a DFT calculation (PBE with a Hubbard U) of NbFeO4 after structural relaxation.

```
data_NbFeO4
_cell_length_a 5.0756
_cell_length_b 5.6497
_cell_length_c 9.4355
_cell_angle_alpha 89.78
_cell_angle_beta 89.87
_cell_angle_gamma 89.48
_symmetry_space_group_name_H-M 'P 1'
_symmetry_Int_Tables_number 1
loop_
_symmetry_equiv_pos_as_xyz
'x,y,z'
loop_
_atom_site_label
_atom_site_type_symbol
_atom_site_fract_x
_atom_site_fract_y
_atom_site_fract_z
Nb1 Nb 0.0000 0.0000 0.0000
Nb2 Nb 0.0055 0.4961 0.2420
Nb3 Nb 0.4989 0.1686 0.7431
Nb4 Nb 0.5063 0.6689 0.4991
Fe1 Fe 0.0223 0.5126 0.7487
Fe2 Fe 0.0248 0.0049 0.4934
Fe3 Fe 0.5239 0.6543 0.9929
Fe4 Fe 0.5268 0.1551 0.2509
O1 O 0.1851 0.7440 0.6084
O2 O 0.1868 0.2005 0.1337
O3 O 0.1876 0.2403 0.6351
O4 O 0.1877 0.7001 0.1102
O5 O 0.3423 0.9651 0.3882
O6 O 0.3466 0.9547 0.8798
O7 O 0.3496 0.4602 0.3648
O8 O 0.3567 0.4578 0.8561
O9 O 0.6861 0.4693 0.6340
O10 O 0.6902 0.4334 0.1365
O11 O 0.6902 0.9338 0.1119
O12 O 0.6927 0.9734 0.6053
O13 O 0.8414 0.7087 0.3784
O14 O 0.8437 0.2119 0.8638
O15 O 0.8570 0.7119 0.8864
O16 O 0.8612 0.2060 0.3624
```

The total DFT energy (no corrections) comes out at -7.99 eV per atom. Its volume is 11.27 Å³ per atom. As for the MP2020-corrected energy: -8.822 eV/atom.

=====

Record 2
The following is a DFT calculation (PBE with a Hubbard U) of NbFeO4 after structural relaxation.

```
data_NbFeO4
_cell_length_a 12.7009
_cell_length_b 3.8982
_cell_length_c 6.7667
_cell_angle_alpha 90.00
_cell_angle_beta 107.70
_cell_angle_gamma 90.00
_symmetry_space_group_name_H-M 'C 1 2 1'
_symmetry_Int_Tables_number 5
loop_
_symmetry_equiv_pos_as_xyz
'x,y,z'
'-x,y,-z'
'x+1/2,y+1/2,z'
'-x+1/2,y+1/2,-z'
loop_
_atom_site_label
_atom_site_type_symbol
_atom_site_fract_x
_atom_site_fract_y
_atom_site_fract_z
Nb1 Nb 0.1039 0.0000 0.2297
Fe1 Fe 0.1988 0.9978 0.8136
O1 O 0.0535 0.0022 0.8645
O2 O 0.1364 0.4990 0.2029
O3 O 0.1376 0.9941 0.5120
O4 O 0.2441 0.4981 0.8551
```

The total DFT energy (no corrections) comes out at -8.05 eV per atom. Its volume is 13.30 Å³ per atom. As for the MP2020-corrected energy: -8.888 eV/atom.

=====

Q: What is the formula in the first record?
A: NbFeO4

=====

Q: volume of number 2 (NbFeO4)?
A: 13.30 Å³ per atom

=====

Q: The highest total DFT energy (no corrections) belongs to which entry?
A: number 1

=====

Q: Which of these has the lowest MP2020-corrected energy?
A: number 2